Below is a relaxed structure of Pr3RhBr3, with properties calculated at the PBE-GGA level.

Computed properties:
DFT formation energy in eV/f.u.: -11.2
Density in g/cm³: 5.64
Volume in Å³/cell: 1802.8
Uncorrected energy in eV/atom: -5.178

a = 12.1708 Å, b = 12.1708 Å, c = 12.1708 Å
α = 90.00°, β = 90.00°, γ = 90.00°
Closest atoms and distances in Å follow each position.
Space group I4_132 (No. 214)
Asymmetric unit:
Pr 0.1093 0.3593 0.1250 [24 per cell]  2 Rh 2.86, 2 Br 3.13
Rh 0.1250 0.1250 0.1250 [8 per cell]  6 Pr 2.86
Br 0.1192 0.1308 0.6250 [24 per cell]  4 Pr 3.13-3.24



Below is a relaxed structure of Pr3Si2S8Br, with properties calculated at the PBE-GGA level.

Computed properties:
DFT formation energy in eV/f.u.: -25.3
Density in g/cm³: 4.00
Energy relative to the lowest polymorph listed for this composition in eV per formula unit: 0.15
Volume in Å³/cell: 676.6
Uncorrected energy in eV/atom: -5.762

a = 7.8080 Å, b = 8.8516 Å, c = 11.0053 Å
α = 96.82°, β = 90.00°, γ = 116.17°
Closest atoms and distances in Å follow each position.
Space group P1 (No. 1)
Asymmetric unit:
Pr 0.0000 0.0000 0.0000 [1 per cell]  4 S 2.88-2.94, 1 Br 3.15
Pr 0.0691 0.5986 0.5679 [1 per cell]  8 S 2.93-3.07
Pr 0.3184 0.6084 0.0653 [1 per cell]  8 S 2.90-3.15
Pr 0.4608 0.3844 0.4340 [1 per cell]  8 S 2.87-3.17
Pr 0.7102 0.3833 0.9353 [1 per cell]  8 S 2.87-3.17
Pr 0.7869 0.0030 0.5021 [1 per cell]  4 S 2.84-2.99, 1 Br 3.05
Si 0.0136 0.3189 0.2830 [1 per cell]  4 S 2.08-2.19
Si 0.0866 0.3193 0.7781 [1 per cell]  4 S 2.09-2.17
Si 0.6990 0.6795 0.7184 [1 per cell]  4 S 2.11-2.17
Si 0.7606 0.6746 0.2202 [1 per cell]  4 S 2.11-2.16
S 0.0989 0.5629 0.8399 [1 per cell]  1 Si 2.14
S 0.1217 0.1326 0.2982 [1 per cell]  1 Si 2.18
S 0.1337 0.2877 0.5923 [1 per cell]  1 Si 2.09
S 0.2536 0.5678 0.3384 [1 per cell]  1 Si 2.19
S 0.2851 0.2823 0.8955 [1 per cell]  1 Si 2.17
S 0.4975 0.7100 0.6092 [1 per cell]  1 Si 2.11
S 0.5332 0.4302 0.1698 [1 per cell]  1 Si 2.11
S 0.6511 0.6948 0.9126 [1 per cell]  1 Si 2.17
S 0.6724 0.8638 0.2005 [1 per cell]  1 Si 2.11
S 0.6874 0.4309 0.6660 [1 per cell]  1 Si 2.17
S 0.7931 0.2945 0.3976 [1 per cell]  1 Si 2.08
S 0.8021 0.1315 0.8037 [1 per cell]  1 Si 2.15
S 0.8388 0.6946 0.4117 [1 per cell]  1 Si 2.16
S 0.9483 0.2997 0.0931 [1 per cell]  1 Si 2.12
S 0.9826 0.8690 0.7073 [1 per cell]  1 Si 2.12
S 0.9986 0.7117 0.1088 [1 per cell]  1 Si 2.15
Br 0.3935 0.9970 0.5046 [1 per cell]  1 Pr 3.05, 2 S 3.31-3.40
Br 0.4038 0.0014 0.0033 [1 per cell]  3 Pr 3.15-3.39, 2 S 3.34-3.39



Below is a relaxed structure of Pr3Si2S8Br, with properties calculated at the PBE-GGA level.

Computed properties:
DFT formation energy in eV/f.u.: -25.5
Density in g/cm³: 4.00
Energy relative to the lowest polymorph listed for this composition in eV per formula unit: 0.00
Volume in Å³/cell: 1353.3
Uncorrected energy in eV/atom: -5.773

a = 15.8882 Å, b = 7.8080 Å, c = 11.0053 Å
α = 90.00°, β = 97.60°, γ = 90.00°
Closest atoms and distances in Å follow each position.
Space group C2/c (No. 15)
Asymmetric unit:
Pr 0.0000 0.1102 0.2500 [4 per cell]  4 S 2.91-2.93, 1 Br 3.08
Pr 0.1962 0.3781 0.6839 [8 per cell]  8 S 2.94-3.09
Si 0.1598 0.0343 0.0297 [8 per cell]  4 S 2.12-2.14
S 0.0667 0.1556 0.5473 [8 per cell]  1 Si 2.12
S 0.1457 0.2477 0.1448 [8 per cell]  1 Si 2.12
S 0.1484 0.0940 0.8397 [8 per cell]  1 Si 2.13
S 0.2170 0.4286 0.4147 [8 per cell]  1 Si 2.14
Br 0.0000 0.4954 0.7500 [4 per cell]  3 Pr 3.08-3.42, 2 S 3.38



Below is a relaxed structure of Pu3Br, with properties calculated at the PBE-GGA level.

Computed properties:
DFT formation energy in eV/f.u.: -0.3
Density in g/cm³: 12.34
Volume in Å³/cell: 109.3
Uncorrected energy in eV/atom: -11.057

a = 4.7806 Å, b = 4.7806 Å, c = 4.7806 Å
α = 90.00°, β = 90.00°, γ = 90.00°
Closest atoms and distances in Å follow each position.
Space group Pm-3m (No. 221)
Asymmetric unit:
Pu 0.0000 0.0000 0.5000 [3 per cell]  4 Br 3.38, 8 Pu 3.38
Br 0.5000 0.5000 0.5000 [1 per cell]  12 Pu 3.38